Entry 1:
BaNb8O14, optimized geometry, DFT PBE-GGA; calculated formation energy = -2.766 eV per atom; size of the total moment = 0.000 μB/atom; energy above the most stable polymorph in this dataset = 0.097 eV per atom
1.0
10.053 0.000 0.000
0.000 10.262 0.000
0.000 0.000 24.390
O Nb Ba
112 64 8
direct
0.997 0.258 0.560 O
0.543 0.736 0.184 O
0.996 0.258 0.438 O
0.230 0.949 0.685 O
0.762 0.930 0.940 O
0.231 0.183 0.624 O
0.460 0.268 0.687 O
0.043 0.736 0.316 O
0.262 0.570 0.060 O
0.503 0.742 0.060 O
0.460 0.232 0.187 O
0.503 0.001 0.242 O
0.804 0.754 0.746 O
0.497 0.501 0.258 O
0.730 0.949 0.815 O
0.720 0.191 0.122 O
0.000 0.500 0.500 O
0.720 0.315 0.501 O
0.270 0.449 0.685 O
0.503 0.758 0.560 O
0.040 0.732 0.187 O
0.259 0.574 0.939 O
0.040 0.768 0.687 O
0.457 0.264 0.816 O
0.720 0.185 0.001 O
0.504 0.758 0.438 O
0.804 0.746 0.246 O
0.540 0.768 0.813 O
0.789 0.492 0.698 O
0.000 0.000 0.000 O
0.238 0.430 0.560 O
0.280 0.809 0.878 O
0.997 0.999 0.742 O
0.741 0.426 0.061 O
0.269 0.683 0.624 O
0.759 0.574 0.561 O
0.280 0.685 0.499 O
0.043 0.764 0.816 O
0.289 0.008 0.302 O
0.731 0.183 0.876 O
0.780 0.815 0.501 O
0.543 0.764 0.684 O
0.220 0.315 0.999 O
0.000 0.000 0.500 O
0.738 0.070 0.440 O
0.720 0.309 0.622 O
0.289 0.492 0.802 O
0.997 0.501 0.242 O
0.696 0.254 0.746 O
0.997 0.242 0.060 O
0.770 0.449 0.815 O
0.769 0.817 0.376 O
0.738 0.430 0.940 O
0.500 0.000 0.000 O
0.259 0.926 0.439 O
0.238 0.070 0.060 O
0.780 0.691 0.122 O
0.220 0.191 0.378 O
0.497 0.258 0.940 O
0.004 0.758 0.062 O
0.769 0.683 0.876 O
0.003 0.499 0.758 O
0.957 0.236 0.184 O
0.196 0.254 0.754 O
0.770 0.051 0.315 O
0.711 0.508 0.198 O
0.789 0.008 0.198 O
0.741 0.074 0.561 O
0.220 0.309 0.878 O
0.000 0.500 0.000 O
0.241 0.426 0.439 O
0.996 0.242 0.938 O
0.780 0.685 0.001 O
0.696 0.246 0.246 O
0.003 0.001 0.258 O
0.270 0.051 0.185 O
0.220 0.185 0.499 O
0.003 0.742 0.440 O
0.500 0.000 0.500 O
0.500 0.500 0.500 O
0.496 0.242 0.562 O
0.780 0.809 0.622 O
0.003 0.758 0.940 O
0.497 0.999 0.758 O
0.457 0.236 0.316 O
0.497 0.242 0.440 O
0.304 0.754 0.754 O
0.304 0.746 0.254 O
0.540 0.732 0.313 O
0.500 0.500 0.000 O
0.504 0.742 0.938 O
0.711 0.992 0.698 O
0.004 0.742 0.562 O
0.211 0.508 0.302 O
0.960 0.232 0.313 O
0.269 0.817 0.124 O
0.262 0.930 0.560 O
0.957 0.264 0.684 O
0.280 0.815 0.999 O
0.230 0.551 0.185 O
0.241 0.074 0.939 O
0.503 0.499 0.742 O
0.496 0.258 0.062 O
0.280 0.691 0.378 O
0.211 0.992 0.802 O
0.231 0.317 0.124 O
0.196 0.246 0.254 O
0.759 0.926 0.061 O
0.731 0.317 0.376 O
0.960 0.268 0.813 O
0.730 0.551 0.315 O
0.762 0.570 0.440 O
0.117 0.153 0.996 Nb
0.382 0.587 0.565 Nb
0.625 0.828 0.114 Nb
0.850 0.352 0.746 Nb
0.392 0.590 0.320 Nb
0.614 0.419 0.566 Nb
0.614 0.081 0.066 Nb
0.108 0.410 0.820 Nb
0.617 0.153 0.504 Nb
0.404 0.894 0.180 Nb
0.375 0.172 0.886 Nb
0.369 0.354 0.619 Nb
0.125 0.672 0.886 Nb
0.886 0.919 0.566 Nb
0.386 0.919 0.934 Nb
0.108 0.090 0.320 Nb
0.383 0.653 0.996 Nb
0.404 0.606 0.680 Nb
0.883 0.653 0.504 Nb
0.618 0.413 0.435 Nb
0.596 0.394 0.320 Nb
0.650 0.852 0.746 Nb
0.882 0.913 0.435 Nb
0.882 0.587 0.935 Nb
0.350 0.148 0.254 Nb
0.617 0.347 0.004 Nb
0.375 0.328 0.386 Nb
0.875 0.328 0.114 Nb
0.631 0.854 0.881 Nb
0.875 0.172 0.614 Nb
0.392 0.910 0.820 Nb
0.386 0.581 0.434 Nb
0.596 0.106 0.820 Nb
0.096 0.394 0.180 Nb
0.117 0.347 0.496 Nb
0.869 0.354 0.881 Nb
0.625 0.672 0.614 Nb
0.631 0.646 0.381 Nb
0.618 0.087 0.935 Nb
0.150 0.852 0.754 Nb
0.118 0.413 0.065 Nb
0.114 0.419 0.934 Nb
0.131 0.646 0.119 Nb
0.904 0.894 0.320 Nb
0.383 0.847 0.496 Nb
0.382 0.913 0.065 Nb
0.892 0.590 0.180 Nb
0.118 0.087 0.565 Nb
0.131 0.854 0.619 Nb
0.883 0.847 0.004 Nb
0.650 0.648 0.246 Nb
0.904 0.606 0.820 Nb
0.886 0.581 0.066 Nb
0.850 0.148 0.246 Nb
0.350 0.352 0.754 Nb
0.114 0.081 0.434 Nb
0.125 0.828 0.386 Nb
0.608 0.090 0.180 Nb
0.892 0.910 0.680 Nb
0.369 0.146 0.119 Nb
0.096 0.106 0.680 Nb
0.869 0.146 0.381 Nb
0.150 0.648 0.254 Nb
0.608 0.410 0.680 Nb
0.029 0.979 0.140 Ba
0.029 0.521 0.640 Ba
0.971 0.021 0.860 Ba
0.471 0.021 0.640 Ba
0.529 0.979 0.360 Ba
0.471 0.479 0.140 Ba
0.529 0.521 0.860 Ba
0.971 0.479 0.360 Ba

=====

Entry 2:
BaNb8O14, optimized geometry, DFT PBE-GGA; calculated formation energy = -2.836 eV per atom; size of the total moment = 0.000 μB/atom; energy above the most stable polymorph in this dataset = 0.027 eV per atom
1.0
9.674 0.000 0.000
0.000 10.450 0.000
0.000 5.179 12.103
O Nb Ba
56 32 4
direct
0.244 0.218 0.250 O
0.507 0.689 0.126 O
0.506 0.817 0.876 O
0.742 0.855 0.120 O
0.728 0.681 0.999 O
0.253 0.969 0.751 O
0.256 0.718 0.250 O
0.262 0.403 0.377 O
0.006 0.683 0.124 O
0.762 0.097 0.623 O
0.494 0.183 0.124 O
0.758 0.355 0.120 O
0.493 0.311 0.874 O
0.013 0.771 0.493 O
0.228 0.819 0.001 O
0.247 0.469 0.751 O
0.738 0.597 0.623 O
0.000 0.430 0.638 O
0.256 0.276 0.632 O
0.000 0.000 0.000 O
0.257 0.585 0.498 O
0.487 0.271 0.493 O
0.513 0.729 0.507 O
0.000 0.570 0.362 O
0.999 0.052 0.383 O
0.747 0.031 0.249 O
0.243 0.085 0.498 O
0.238 0.903 0.377 O
0.258 0.145 0.880 O
0.757 0.915 0.502 O
0.756 0.782 0.750 O
0.744 0.724 0.368 O
0.001 0.948 0.617 O
0.000 0.500 0.000 O
0.987 0.229 0.507 O
0.500 0.000 0.000 O
0.746 0.978 0.873 O
0.272 0.319 0.001 O
0.743 0.415 0.502 O
0.242 0.645 0.880 O
0.501 0.552 0.383 O
0.754 0.478 0.873 O
0.772 0.181 0.999 O
0.993 0.189 0.126 O
0.500 0.500 0.000 O
0.246 0.522 0.127 O
0.499 0.448 0.617 O
0.994 0.317 0.876 O
0.756 0.224 0.368 O
0.753 0.531 0.249 O
0.744 0.282 0.750 O
0.254 0.022 0.127 O
0.007 0.811 0.874 O
0.500 0.930 0.638 O
0.244 0.776 0.632 O
0.500 0.070 0.362 O
0.383 0.162 0.997 Nb
0.377 0.611 0.637 Nb
0.618 0.212 0.242 Nb
0.154 0.919 0.507 Nb
0.882 0.712 0.242 Nb
0.117 0.662 0.997 Nb
0.384 0.541 0.241 Nb
0.884 0.959 0.759 Nb
0.888 0.275 0.634 Nb
0.122 0.853 0.134 Nb
0.123 0.111 0.637 Nb
0.616 0.459 0.759 Nb
0.116 0.041 0.241 Nb
0.877 0.889 0.363 Nb
0.125 0.991 0.868 Nb
0.875 0.009 0.132 Nb
0.846 0.081 0.493 Nb
0.878 0.147 0.866 Nb
0.378 0.353 0.134 Nb
0.118 0.288 0.758 Nb
0.625 0.509 0.132 Nb
0.617 0.838 0.003 Nb
0.112 0.725 0.366 Nb
0.883 0.338 0.003 Nb
0.623 0.389 0.363 Nb
0.388 0.225 0.366 Nb
0.622 0.647 0.866 Nb
0.375 0.491 0.868 Nb
0.346 0.419 0.507 Nb
0.612 0.775 0.634 Nb
0.382 0.788 0.758 Nb
0.654 0.581 0.493 Nb
0.986 0.620 0.728 Ba
0.514 0.120 0.728 Ba
0.486 0.880 0.272 Ba
0.014 0.380 0.272 Ba

=====

Entry 3:
Ba5Nb2O11, optimized geometry, DFT PBE-GGA; calculated formation energy = -2.921 eV per atom; size of the total moment = 0.000 μB/atom
1.0
0.100 3.699 4.897
1.765 -5.854 0.542
17.554 4.836 -3.897
Ba Nb O
10 4 22
direct
0.003 0.001 0.860 Ba
0.997 0.999 0.140 Ba
0.667 0.333 0.750 Ba
0.333 0.667 0.250 Ba
0.328 0.656 0.478 Ba
0.344 0.672 0.022 Ba
0.999 0.997 0.640 Ba
0.001 0.003 0.360 Ba
0.672 0.344 0.522 Ba
0.656 0.328 0.978 Ba
0.666 0.333 0.170 Nb
0.667 0.334 0.330 Nb
0.334 0.667 0.830 Nb
0.333 0.666 0.670 Nb
0.490 0.981 0.617 O
0.983 0.491 0.379 O
0.509 0.017 0.121 O
0.981 0.490 0.117 O
0.857 0.929 0.999 O
0.143 0.071 0.001 O
0.815 0.185 0.250 O
0.017 0.509 0.621 O
0.019 0.510 0.883 O
0.185 0.372 0.751 O
0.628 0.815 0.749 O
0.491 0.983 0.879 O
0.071 0.143 0.501 O
0.491 0.508 0.879 O
0.815 0.628 0.249 O
0.509 0.492 0.121 O
0.510 0.019 0.383 O
0.508 0.491 0.379 O
0.185 0.815 0.750 O
0.372 0.185 0.251 O
0.492 0.509 0.621 O
0.929 0.857 0.499 O

=====

Entry 4:
Ba3Nb16O23, optimized geometry, DFT PBE-GGA; calculated formation energy = -2.695 eV per atom
1.0
-11.140 -3.980 3.534
9.508 -1.508 7.729
-0.800 3.767 1.719
O Nb Ba
23 16 3
direct
0.500 0.500 0.500 O
0.539 0.141 0.000 O
0.063 0.261 0.000 O
0.897 0.103 0.500 O
0.141 0.539 0.000 O
0.366 0.967 0.500 O
0.404 0.596 0.000 O
0.634 0.033 0.500 O
0.334 0.334 0.000 O
0.033 0.634 0.500 O
0.666 0.666 0.000 O
0.261 0.063 0.000 O
0.937 0.739 0.000 O
0.103 0.897 0.500 O
0.739 0.937 0.000 O
0.596 0.404 0.000 O
0.701 0.299 0.500 O
0.967 0.366 0.500 O
0.299 0.701 0.500 O
0.461 0.859 0.000 O
0.859 0.461 0.000 O
0.840 0.840 0.500 O
0.160 0.160 0.500 O
0.431 0.228 0.000 Nb
0.932 0.730 0.500 Nb
0.472 0.862 0.500 Nb
0.068 0.270 0.500 Nb
0.772 0.569 0.000 Nb
0.528 0.138 0.500 Nb
0.328 0.328 0.500 Nb
0.672 0.672 0.500 Nb
0.138 0.528 0.500 Nb
0.730 0.932 0.500 Nb
0.601 0.399 0.500 Nb
0.569 0.772 0.000 Nb
0.228 0.431 0.000 Nb
0.399 0.601 0.500 Nb
0.862 0.472 0.500 Nb
0.270 0.068 0.500 Nb
0.000 0.000 0.000 Ba
0.201 0.799 0.000 Ba
0.799 0.201 0.000 Ba

=====

Entry 5:
Ba4Nb2O9, optimized geometry, DFT PBE-GGA; calculated formation energy = -3.223 eV per atom; energy above the most stable polymorph in this dataset = 0.000 eV per atom
1.0
-3.094 -5.360 0.000
-3.094 5.359 0.000
0.000 0.000 -16.783
O Nb Ba
18 4 8
direct
0.255 0.898 0.608 O
0.358 0.255 0.392 O
0.463 0.045 0.250 O
0.898 0.642 0.108 O
0.102 0.358 0.892 O
0.642 0.745 0.608 O
0.537 0.955 0.750 O
0.955 0.417 0.250 O
0.898 0.642 0.392 O
0.255 0.898 0.892 O
0.358 0.255 0.108 O
0.642 0.745 0.892 O
0.418 0.463 0.750 O
0.745 0.102 0.392 O
0.745 0.102 0.108 O
0.582 0.537 0.250 O
0.045 0.583 0.750 O
0.102 0.358 0.608 O
0.667 0.334 0.159 Nb
0.333 0.666 0.659 Nb
0.667 0.334 0.341 Nb
0.333 0.666 0.841 Nb
0.000 0.000 0.250 Ba
0.333 0.667 0.362 Ba
0.000 0.000 0.750 Ba
0.667 0.333 0.862 Ba
0.333 0.667 0.138 Ba
0.000 0.000 0.500 Ba
0.667 0.333 0.638 Ba
0.000 0.000 0.000 Ba

=====

Entry 6:
BaNb5O8, optimized geometry, DFT PBE-GGA; calculated formation energy = -2.797 eV per atom
1.0
6.705 0.000 0.000
0.000 6.705 0.000
0.000 0.000 4.170
O Nb Ba
8 5 1
direct
0.612 0.796 0.000 O
0.699 0.099 0.500 O
0.099 0.301 0.500 O
0.388 0.204 0.000 O
0.901 0.699 0.500 O
0.301 0.901 0.500 O
0.204 0.612 0.000 O
0.796 0.388 0.000 O
0.598 0.788 0.500 Nb
0.788 0.402 0.500 Nb
0.402 0.212 0.500 Nb
0.212 0.598 0.500 Nb
0.500 0.500 0.000 Nb
0.000 0.000 0.000 Ba

=====

Table of calculated total energy (eV/atom), in record order: -8.957; -9.027; -7.316; -9.013; -7.639; -8.977